SrU2As2O20 | PBE | relaxed

## Properties
DFT formation energy   -1.475 eV per atom
Electronic total energy   -6.648 eV/atom
Energy above the lowest structure with this stoichiometry   0.0000 eV/atom
Symmetry   P2/c (13)

abc: 7.168 7.309 16.176
angles: 83.26 90.00 90.00
Atoms (fractional coordinates):
Sr: 0.213 0.000 0.250
Sr: 0.787 0.000 0.750
U: 0.251 0.725 0.062
U: 0.251 0.275 0.438
U: 0.749 0.275 0.938
U: 0.749 0.725 0.562
As: 0.245 0.239 0.007
As: 0.245 0.761 0.493
As: 0.755 0.761 0.993
As: 0.755 0.239 0.507
O: 0.248 0.742 0.950
O: 0.248 0.258 0.550
O: 0.752 0.258 0.050
O: 0.752 0.742 0.450
O: 0.255 0.718 0.178
O: 0.255 0.282 0.322
O: 0.745 0.282 0.822
O: 0.745 0.718 0.678
O: 0.264 0.040 0.075
O: 0.264 0.960 0.425
O: 0.736 0.960 0.925
O: 0.736 0.040 0.575
O: 0.223 0.414 0.069
O: 0.223 0.586 0.431
O: 0.777 0.586 0.931
O: 0.777 0.414 0.569
O: 0.058 0.229 0.941
O: 0.058 0.771 0.559
O: 0.942 0.771 0.059
O: 0.942 0.229 0.441
O: 0.436 0.275 0.942
O: 0.436 0.725 0.558
O: 0.564 0.725 0.058
O: 0.564 0.275 0.442
O: 0.574 0.907 0.308
O: 0.574 0.093 0.192
O: 0.426 0.093 0.692
O: 0.426 0.907 0.808
O: 0.743 0.077 0.201
O: 0.743 0.923 0.299
O: 0.257 0.923 0.799
O: 0.257 0.077 0.701
O: 0.046 0.320 0.199
O: 0.046 0.680 0.301
O: 0.954 0.680 0.801
O: 0.954 0.320 0.699
O: 0.732 0.439 0.228
O: 0.732 0.561 0.272
O: 0.268 0.561 0.772
O: 0.268 0.439 0.728